Run 1
This record from the Materials Project describes a relaxed NaLi5Mn2P2C2O14 crystal. The functional is PBE with a Hubbard U.

Computed properties:
* mass density: 2.768 g/cm³

CIF file:
```
data_NaLi5Mn2P2C2O14
_cell_length_a 6.6330
_cell_length_b 8.6535
_cell_length_c 9.9875
_cell_angle_alpha 91.56
_cell_angle_beta 90.01
_cell_angle_gamma 90.44
_space_group_name_H-M_alt 'P 1'
_space_group_IT_number 1
loop_
_space_group_symop_operation_xyz
'x,y,z'
loop_
_atom_site_label
_atom_site_type_symbol
_atom_site_fract_x
_atom_site_fract_y
_atom_site_fract_z
Na1 Na 0.0000 0.0000 0.0000
Na2 Na 0.2575 0.8342 0.7447
Li1 Li 0.0210 0.0128 0.5026
Li2 Li 0.2571 0.8268 0.2484
Li3 Li 0.4822 0.0144 0.5052
Li4 Li 0.4834 0.0159 0.0098
Li5 Li 0.5196 0.4884 0.2400
Li6 Li 0.5214 0.4835 0.7385
Li7 Li 0.7443 0.6631 0.9995
Li8 Li 0.7517 0.6658 0.4965
Li9 Li 0.9837 0.4841 0.7386
Li10 Li 0.9853 0.4887 0.2390
Mn1 Mn 0.2518 0.3947 0.0133
Mn2 Mn 0.2529 0.3950 0.5085
Mn3 Mn 0.7488 0.1054 0.2388
Mn4 Mn 0.7515 0.1073 0.7327
P1 P 0.2521 0.1547 0.2738
P2 P 0.2570 0.1645 0.7686
P3 P 0.7476 0.3452 0.9777
P4 P 0.7528 0.3426 0.4749
C1 C 0.2526 0.7009 0.4834
C2 C 0.2613 0.7029 0.9930
C3 C 0.7508 0.7911 0.7559
C4 C 0.7516 0.7911 0.2583
O1 O 0.0634 0.0615 0.2275
O2 O 0.0670 0.0713 0.7215
O3 O 0.2502 0.6076 0.8903
O4 O 0.2509 0.8508 0.4705
O5 O 0.2518 0.6504 0.1137
O6 O 0.2534 0.3347 0.7230
O7 O 0.2530 0.6115 0.3765
O8 O 0.2542 0.6395 0.5998
O9 O 0.2546 0.3243 0.2250
O10 O 0.2572 0.1627 0.4307
O11 O 0.2693 0.1680 0.9248
O12 O 0.2809 0.8501 0.9755
O13 O 0.4336 0.0587 0.2204
O14 O 0.4379 0.0724 0.7096
O15 O 0.5683 0.4465 0.0274
O16 O 0.5694 0.4365 0.5277
O17 O 0.7346 0.1767 0.0271
O18 O 0.7476 0.8915 0.8554
O19 O 0.7487 0.8903 0.3581
O20 O 0.7511 0.3363 0.8207
O21 O 0.7521 0.3367 0.3181
O22 O 0.7519 0.8381 0.6339
O23 O 0.7532 0.1716 0.5206
O24 O 0.7530 0.6438 0.2835
O25 O 0.7526 0.6442 0.7818
O26 O 0.7525 0.8377 0.1358
O27 O 0.9363 0.4345 0.0310
O28 O 0.9375 0.4369 0.5281
```

***

Run 2
This record from the Materials Project describes a relaxed NaLi5Mn2P2C2O14 crystal. The functional is PBE with a Hubbard U.

Computed properties:
* mass density: 2.756 g/cm³

CIF file:
```
data_NaLi5Mn2P2C2O14
_cell_length_a 8.6405
_cell_length_b 6.6755
_cell_length_c 9.9866
_cell_angle_alpha 90.00
_cell_angle_beta 92.41
_cell_angle_gamma 90.00
_space_group_name_H-M_alt 'P 1 21 1'
_space_group_IT_number 4
loop_
_space_group_symop_operation_xyz
'x,y,z'
'-x,y+1/2,-z'
loop_
_atom_site_label
_atom_site_type_symbol
_atom_site_fract_x
_atom_site_fract_y
_atom_site_fract_z
Na1 Na 0.2481 0.0000 0.3741
Li1 Li 0.0866 0.2445 0.6288
Li2 Li 0.0868 0.2617 0.1264
Li3 Li 0.2661 0.0258 0.8822
Li4 Li 0.2656 0.4747 0.8828
Li5 Li 0.2691 0.4753 0.3863
Mn1 Mn 0.3505 0.7504 0.1097
Mn2 Mn 0.3545 0.7455 0.6147
P1 P 0.4059 0.2447 0.6471
P2 P 0.4078 0.2562 0.1429
C1 C 0.0386 0.7499 0.1346
C2 C 0.0438 0.7598 0.6390
O1 O 0.0813 0.7530 0.0121
O2 O 0.0815 0.7552 0.5148
O3 O 0.0994 0.2830 0.3286
O4 O 0.1072 0.2483 0.8366
O5 O 0.1427 0.7482 0.2329
O6 O 0.1496 0.7402 0.7352
O7 O 0.3039 0.0621 0.6050
O8 O 0.3114 0.4353 0.0850
O9 O 0.3119 0.0686 0.0976
O10 O 0.3137 0.4293 0.5923
O11 O 0.4181 0.2685 0.2991
O12 O 0.4201 0.2548 0.8041
O13 O 0.4229 0.7533 0.9043
O14 O 0.4277 0.7333 0.4056
```

***

Tell me which of them is the least stable. Sure, it is run 1.

***

Run 1
This record from the Materials Project describes a relaxed LiMnC2O6 crystal. The functional is PBE with a Hubbard U.

Computed properties:
* mass density: 3.038 g/cm³

CIF file:
```
data_LiMnC2O6
_cell_length_a 4.7241
_cell_length_b 4.7241
_cell_length_c 15.4324
_cell_angle_alpha 90.00
_cell_angle_beta 90.00
_cell_angle_gamma 120.00
_space_group_name_H-M_alt 'R -3'
_space_group_IT_number 148
_space_group_name_Hall '-R 3'
loop_
_atom_site_label
_atom_site_type_symbol
_atom_site_fract_x
_atom_site_fract_y
_atom_site_fract_z
Li1 Li 0.0000 0.0000 0.0000
Mn1 Mn 0.0000 0.0000 0.5000
C1 C 0.0000 0.0000 0.2454
O1 O 0.0080 0.2777 0.2460
```

***

Run 2
This record from the Materials Project describes a relaxed LiMnC2O6 crystal. The functional is PBE with a Hubbard U.

Computed properties:
* mass density: 2.429 g/cm³

CIF file:
```
data_LiMnC2O6
_cell_length_a 4.9557
_cell_length_b 7.9154
_cell_length_c 12.7158
_cell_angle_alpha 90.00
_cell_angle_beta 94.36
_cell_angle_gamma 90.00
_space_group_name_H-M_alt 'P 1 21 1'
_space_group_IT_number 4
loop_
_space_group_symop_operation_xyz
'x,y,z'
'-x,y+1/2,-z'
loop_
_atom_site_label
_atom_site_type_symbol
_atom_site_fract_x
_atom_site_fract_y
_atom_site_fract_z
Li1 Li 0.1574 0.0000 0.3197
Li2 Li 0.3417 0.4999 0.1803
Mn1 Mn 0.1283 0.9483 0.6185
Mn2 Mn 0.3729 0.4482 0.8814
C1 C 0.0646 0.7123 0.4344
C2 C 0.1510 0.1949 0.8084
C3 C 0.3498 0.6947 0.6917
C4 C 0.4352 0.2122 0.0657
O1 O 0.0275 0.0600 0.7820
O2 O 0.0306 0.3432 0.8123
O3 O 0.0880 0.7015 0.6641
O4 O 0.1630 0.8586 0.4544
O5 O 0.1969 0.1863 0.5846
O6 O 0.2093 0.5758 0.4282
O7 O 0.2904 0.0757 0.0718
O8 O 0.3034 0.6861 0.9152
O9 O 0.3370 0.3585 0.0456
O10 O 0.4126 0.2014 0.8361
O11 O 0.4700 0.8431 0.6878
O12 O 0.4730 0.5596 0.7179
```

***

Run 3
This record from the Materials Project describes a relaxed LiMnC2O6 crystal. The functional is PBE with a Hubbard U.

Computed properties:
* mass density: 2.162 g/cm³

CIF file:
```
data_LiMnC2O6
_cell_length_a 7.3203
_cell_length_b 9.7931
_cell_length_c 9.0013
_cell_angle_alpha 90.00
_cell_angle_beta 119.99
_cell_angle_gamma 90.00
_space_group_name_H-M_alt 'P 1 21/c 1'
_space_group_IT_number 14
loop_
_space_group_symop_operation_xyz
'x,y,z'
'-x,-y,-z'
'-x,y+1/2,-z+1/2'
'x,-y+1/2,z+1/2'
loop_
_atom_site_label
_atom_site_type_symbol
_atom_site_fract_x
_atom_site_fract_y
_atom_site_fract_z
Li1 Li 0.1666 0.0977 0.1578
Mn1 Mn 0.0219 0.6362 0.0674
C1 C 0.0225 0.1081 0.7721
C2 C 0.4018 0.0137 0.6410
O1 O 0.0112 0.1939 0.6583
O2 O 0.0242 0.1527 0.9068
O3 O 0.0304 0.5236 0.2561
O4 O 0.2837 0.1179 0.5535
O5 O 0.3168 0.6016 0.1538
O6 O 0.4019 0.5232 0.7861
```

***

Tell me which of them is the least stable. Sure, it is run 3.

***

Run 1
This record from the Materials Project describes a relaxed LiMnCO4 crystal. The functional is PBE with a Hubbard U.

Computed properties:
* mass density: 3.246 g/cm³

CIF file:
```
data_LiMnCO4
_cell_length_a 3.2845
_cell_length_b 9.1718
_cell_length_c 9.3676
_cell_angle_alpha 90.00
_cell_angle_beta 91.34
_cell_angle_gamma 90.00
_space_group_name_H-M_alt 'P 1 21/c 1'
_space_group_IT_number 14
loop_
_space_group_symop_operation_xyz
'x,y,z'
'-x,-y,-z'
'-x,y+1/2,-z+1/2'
'x,-y+1/2,z+1/2'
loop_
_atom_site_label
_atom_site_type_symbol
_atom_site_fract_x
_atom_site_fract_y
_atom_site_fract_z
Li1 Li 0.2443 0.1877 0.4015
Mn1 Mn 0.2496 0.5650 0.3843
C1 C 0.2460 0.6285 0.8419
O1 O 0.2384 0.5049 0.7690
O2 O 0.2456 0.7488 0.2671
O3 O 0.2540 0.6304 0.9757
O4 O 0.2586 0.1103 0.9925
```

***

Run 2
This record from the Materials Project describes a relaxed LiMnCO4 crystal. The functional is PBE with a Hubbard U.

Computed properties:
* mass density: 2.683 g/cm³

CIF file:
```
data_LiMnCO4
_cell_length_a 6.4883
_cell_length_b 5.3012
_cell_length_c 10.1042
_cell_angle_alpha 90.00
_cell_angle_beta 100.85
_cell_angle_gamma 90.00
_space_group_name_H-M_alt 'P 1 21/c 1'
_space_group_IT_number 14
loop_
_space_group_symop_operation_xyz
'x,y,z'
'-x,-y,-z'
'-x,y+1/2,-z+1/2'
'x,-y+1/2,z+1/2'
loop_
_atom_site_label
_atom_site_type_symbol
_atom_site_fract_x
_atom_site_fract_y
_atom_site_fract_z
Li1 Li 0.1501 0.1706 0.3228
Mn1 Mn 0.4173 0.6218 0.6422
C1 C 0.2046 0.7175 0.4181
O1 O 0.1008 0.7166 0.8055
O2 O 0.2652 0.0184 0.9501
O3 O 0.2665 0.6205 0.0143
O4 O 0.4054 0.1724 0.2403
```

***

Run 3
This record from the Materials Project describes a relaxed LiMnCO4 crystal. The functional is PBE with a Hubbard U.

Computed properties:
* mass density: 3.103 g/cm³

CIF file:
```
data_LiMnCO4
_cell_length_a 3.3776
_cell_length_b 9.1845
_cell_length_c 9.6131
_cell_angle_alpha 90.00
_cell_angle_beta 98.25
_cell_angle_gamma 90.00
_space_group_name_H-M_alt 'P 1 21/c 1'
_space_group_IT_number 14
loop_
_space_group_symop_operation_xyz
'x,y,z'
'-x,-y,-z'
'-x,y+1/2,-z+1/2'
'x,-y+1/2,z+1/2'
loop_
_atom_site_label
_atom_site_type_symbol
_atom_site_fract_x
_atom_site_fract_y
_atom_site_fract_z
Li1 Li 0.2027 0.1799 0.4118
Mn1 Mn 0.2243 0.5645 0.3896
C1 C 0.2071 0.6320 0.8422
O1 O 0.1874 0.5090 0.7715
O2 O 0.1900 0.7450 0.2710
O3 O 0.2479 0.6320 0.9749
O4 O 0.2712 0.1105 0.9965
```

***

Tell me which of them is the least stable. Sure, it is run 2.

***

Run 1
This record from the Materials Project describes a relaxed Li3Mn2C4O12 crystal. The functional is PBE with a Hubbard U.

Computed properties:
* largest piezoelectric modulus: 0.984 C/m2
* mass density: 2.375 g/cm³

CIF file:
```
data_Li3Mn2C4O12
_cell_length_a 5.3663
_cell_length_b 6.4357
_cell_length_c 8.6196
_cell_angle_alpha 84.14
_cell_angle_beta 72.72
_cell_angle_gamma 65.82
_space_group_name_H-M_alt 'P 1'
_space_group_IT_number 1
loop_
_space_group_symop_operation_xyz
'x,y,z'
loop_
_atom_site_label
_atom_site_type_symbol
_atom_site_fract_x
_atom_site_fract_y
_atom_site_fract_z
Li1 Li 0.0000 0.0000 0.0000
Li2 Li 0.1111 0.4943 0.7880
Li3 Li 0.3306 0.0381 0.2978
Mn1 Mn 0.4511 0.5252 0.1532
Mn2 Mn 0.7320 0.0124 0.6420
C1 C 0.1868 0.6050 0.4362
C2 C 0.5186 0.9251 0.9443
C3 C 0.5681 0.4254 0.8573
C4 C 0.7248 0.1113 0.3462
O1 O 0.0411 0.6557 0.5835
O2 O 0.0953 0.5513 0.3274
O3 O 0.3173 0.4892 0.9696
O4 O 0.3667 0.9870 0.8429
O5 O 0.4099 0.8712 0.0916
O6 O 0.4402 0.6061 0.3769
O7 O 0.5196 0.0718 0.4506
O8 O 0.5853 0.3667 0.7174
O9 O 0.7059 0.1681 0.1981
O10 O 0.7725 0.4284 0.9064
O11 O 0.7755 0.9176 0.8953
O12 O 0.9409 0.0904 0.3922
```

***

Run 2
This record from the Materials Project describes a relaxed Li3Mn2C4O12 crystal. The functional is PBE with a Hubbard U.

Computed properties:
* mass density: 2.140 g/cm³

CIF file:
```
data_Li3Mn2C4O12
_cell_length_a 7.1683
_cell_length_b 9.9781
_cell_length_c 8.6369
_cell_angle_alpha 90.00
_cell_angle_beta 111.35
_cell_angle_gamma 90.00
_space_group_name_H-M_alt 'P 1 21 1'
_space_group_IT_number 4
loop_
_space_group_symop_operation_xyz
'x,y,z'
'-x,y+1/2,-z'
loop_
_atom_site_label
_atom_site_type_symbol
_atom_site_fract_x
_atom_site_fract_y
_atom_site_fract_z
Li1 Li 0.1792 0.0000 0.3136
Li2 Li 0.2342 0.8998 0.9030
Li3 Li 0.2614 0.7319 0.5960
Mn1 Mn 0.2126 0.1840 0.6916
Mn2 Mn 0.2953 0.4667 0.8281
C1 C 0.0142 0.9281 0.5313
C2 C 0.0233 0.7942 0.1100
C3 C 0.4775 0.8355 0.3840
C4 C 0.4914 0.7106 0.9672
O1 O 0.0237 0.1944 0.8120
O2 O 0.0268 0.3004 0.4900
O3 O 0.0385 0.4168 0.8768
O4 O 0.0594 0.5153 0.5861
O5 O 0.1311 0.7730 0.0265
O6 O 0.1419 0.9673 0.6726
O7 O 0.3474 0.8494 0.4531
O8 O 0.3600 0.6688 0.8287
O9 O 0.4200 0.1230 0.9179
O10 O 0.4245 0.2220 0.5975
O11 O 0.4745 0.3369 0.0150
O12 O 0.4959 0.4341 0.7031
```

***

Tell me which of them is the least stable. Sure, it is run 2.